Below is an optimized crystal structure of Y5Tl3, with properties calculated at the meta-GGA r2SCAN level.

Space group   P6_3/mcm (193)
Calculated total energy   -529.8 eV for the cell shown
DFT formation energy   -0.4712 eV/atom

Cell and atoms, written as POSCAR:
```
Y5Tl3
1.0
-3.560 5.106 -2.470
6.579 5.697 2.294
0.045 -3.894 -8.114
Y Tl
10 6
direct
0.750 0.000 0.238
0.250 0.238 0.238
0.500 0.333 0.667
0.000 0.667 0.333
0.750 0.238 0.000
0.250 0.000 0.762
0.250 0.762 0.000
0.750 0.762 0.762
0.500 0.667 0.333
0.000 0.333 0.667
0.750 0.402 0.402
0.250 0.402 0.000
0.750 0.598 0.000
0.250 0.598 0.598
0.750 0.000 0.598
0.250 0.000 0.402
```



Below is an optimized crystal structure of MoC6O6, with properties calculated at the meta-GGA r2SCAN level.

Space group   Pnma (62)
Calculated total energy   -522.8 eV for the cell shown
DFT formation energy   -0.7014 eV/atom

Cell and atoms, written as POSCAR:
```
MoC6O6
1.0
6.364 0.000 0.000
0.000 11.214 0.000
0.000 0.000 11.793
C O Mo
24 24 4
direct
0.563 0.381 0.729
0.792 0.250 0.034
0.063 0.881 0.771
0.063 0.619 0.771
0.815 0.621 0.976
0.185 0.121 0.024
0.315 0.121 0.524
0.685 0.621 0.476
0.292 0.750 0.466
0.708 0.250 0.534
0.168 0.250 0.723
0.437 0.881 0.271
0.815 0.879 0.976
0.668 0.750 0.777
0.185 0.379 0.024
0.563 0.119 0.729
0.332 0.250 0.223
0.208 0.750 0.966
0.937 0.381 0.229
0.315 0.379 0.524
0.832 0.750 0.277
0.685 0.879 0.476
0.937 0.119 0.229
0.437 0.619 0.271
0.866 0.455 0.285
0.752 0.549 0.535
0.748 0.549 0.035
0.252 0.049 0.965
0.483 0.250 0.276
0.361 0.750 0.018
0.866 0.045 0.285
0.634 0.455 0.785
0.748 0.951 0.035
0.366 0.955 0.215
0.248 0.451 0.465
0.139 0.750 0.518
0.134 0.545 0.715
0.252 0.451 0.965
0.366 0.545 0.215
0.248 0.049 0.465
0.634 0.045 0.785
0.983 0.750 0.224
0.752 0.951 0.535
0.134 0.955 0.715
0.639 0.250 0.982
0.861 0.250 0.482
0.017 0.250 0.776
0.517 0.750 0.724
0.563 0.750 0.372
0.937 0.750 0.872
0.437 0.250 0.628
0.063 0.250 0.128
```



Below is an optimized crystal structure of GdSbS, with properties calculated at the meta-GGA r2SCAN level.

Space group   Pnma (62)
Calculated total energy   -327.7 eV for the cell shown
DFT formation energy   -1.5973 eV/atom

Cell and atoms, written as POSCAR:
```
GdSbS
1.0
-3.321 2.318 -0.617
2.353 2.943 -1.610
-1.991 -7.068 -15.828
S Sb Gd
4 4 4
direct
0.258 0.750 0.187
0.242 0.750 0.687
0.742 0.250 0.813
0.758 0.250 0.313
0.752 0.750 0.500
0.248 0.250 0.500
0.748 0.750 0.000
0.252 0.250 0.000
0.243 0.750 0.846
0.757 0.250 0.154
0.743 0.250 0.654
0.257 0.750 0.346
```



Below is an optimized crystal structure of La3Lu, with properties calculated at the meta-GGA r2SCAN level.

Space group   I4/mmm (139)
Calculated total energy   -127.2 eV for the cell shown
DFT formation energy   0.0287 eV/atom

Cell and atoms, written as POSCAR:
```
La3Lu
1.0
3.154 -4.479 -3.276
4.682 -2.440 3.586
-6.218 0.912 1.114
La Lu
3 1
direct
0.500 0.500 0.000
0.250 0.750 0.500
0.750 0.250 0.500
0.000 0.000 0.000
```



Below is an optimized crystal structure of BeH8N2F4, with properties calculated at the meta-GGA r2SCAN level.

Space group   Pna2_1 (33)
Calculated total energy   -678.9 eV for the cell shown
DFT formation energy   -1.4747 eV/atom

Cell and atoms, written as POSCAR:
```
BeH8N2F4
1.0
-0.312 5.604 1.627
-3.672 -2.919 9.348
14.055 -0.753 5.286
N H F Be
16 64 32 8
direct
0.258 0.702 0.350
0.242 0.702 0.850
0.731 0.299 0.900
0.769 0.299 0.400
0.742 0.202 0.650
0.255 0.102 0.474
0.269 0.398 0.223
0.245 0.102 0.974
0.269 0.799 0.100
0.755 0.602 0.026
0.769 0.898 0.277
0.231 0.398 0.723
0.731 0.898 0.777
0.758 0.202 0.150
0.231 0.799 0.600
0.745 0.602 0.526
0.586 0.576 0.032
0.629 0.319 0.954
0.371 0.819 0.046
0.098 0.423 0.219
0.859 0.527 0.046
0.307 0.856 0.154
0.196 0.369 0.786
0.076 0.677 0.834
0.205 0.706 0.619
0.693 0.356 0.846
0.716 0.623 0.460
0.696 0.869 0.714
0.599 0.313 0.414
0.789 0.149 0.595
0.129 0.819 0.546
0.650 0.184 0.203
0.795 0.206 0.381
0.204 0.325 0.678
0.796 0.825 0.322
0.807 0.356 0.346
0.130 0.476 0.706
0.295 0.706 0.119
0.870 0.976 0.294
0.370 0.476 0.206
0.902 0.923 0.781
0.359 0.027 0.454
0.576 0.177 0.666
0.150 0.684 0.297
0.255 0.797 0.366
0.350 0.684 0.797
0.296 0.325 0.178
0.216 0.181 0.935
0.704 0.825 0.822
0.598 0.923 0.281
0.424 0.677 0.334
0.086 0.076 0.468
0.924 0.177 0.166
0.784 0.681 0.065
0.850 0.184 0.703
0.141 0.027 0.954
0.216 0.123 0.040
0.914 0.576 0.532
0.402 0.423 0.719
0.745 0.297 0.634
0.755 0.297 0.134
0.804 0.869 0.214
0.414 0.076 0.968
0.401 0.813 0.586
0.716 0.681 0.565
0.099 0.813 0.086
0.284 0.123 0.540
0.711 0.149 0.095
0.705 0.206 0.881
0.193 0.856 0.654
0.641 0.527 0.546
0.289 0.649 0.905
0.211 0.649 0.405
0.304 0.369 0.286
0.284 0.181 0.435
0.784 0.623 0.960
0.901 0.313 0.914
0.871 0.319 0.454
0.630 0.976 0.794
0.245 0.797 0.866
0.048 0.349 0.543
0.785 0.632 0.844
0.301 0.363 0.407
0.199 0.363 0.907
0.285 0.132 0.656
0.031 0.151 0.791
0.715 0.632 0.344
0.801 0.863 0.093
0.966 0.610 0.693
0.519 0.890 0.442
0.034 0.110 0.307
0.481 0.390 0.558
0.531 0.651 0.709
0.698 0.436 0.747
0.302 0.936 0.253
0.699 0.863 0.593
0.981 0.890 0.942
0.212 0.563 0.501
0.802 0.436 0.247
0.198 0.936 0.753
0.019 0.390 0.058
0.969 0.651 0.209
0.466 0.110 0.807
0.548 0.849 0.957
0.534 0.610 0.193
0.452 0.349 0.043
0.288 0.563 0.001
0.712 0.063 0.999
0.788 0.063 0.499
0.215 0.132 0.156
0.469 0.151 0.291
0.952 0.849 0.457
0.256 0.082 0.253
0.761 0.917 0.997
0.756 0.582 0.247
0.261 0.417 0.503
0.744 0.582 0.747
0.239 0.417 0.003
0.739 0.917 0.497
0.244 0.082 0.753
```



Below is an optimized crystal structure of Mg5Cd, with properties calculated at the meta-GGA r2SCAN level.

Calculated total energy   -123.5 eV for the cell shown
DFT formation energy   -0.0363 eV/atom

Cell and atoms, written as POSCAR:
```
Mg5Cd
1.0
-4.660 -2.798 0.198
3.275 -0.474 -4.316
7.265 -11.618 6.788
Mg Cd
15 3
direct
0.329 0.995 0.333
0.667 0.333 0.167
0.000 0.338 0.000
0.005 0.333 0.333
0.333 0.667 0.833
0.671 0.667 0.667
0.333 0.005 0.667
0.000 0.000 0.167
0.000 0.000 0.833
0.667 0.671 0.333
0.338 0.000 0.000
0.662 0.662 0.000
0.995 0.329 0.667
0.667 0.333 0.500
0.333 0.667 0.500
0.000 0.000 0.500
0.333 0.667 0.167
0.667 0.333 0.833
```



Below is an optimized crystal structure of NbTlCl6, with properties calculated at the meta-GGA r2SCAN level.

Space group   C2/c (15)
Calculated total energy   -251.2 eV for the cell shown
DFT formation energy   -1.3466 eV/atom

Cell and atoms, written as POSCAR:
```
NbTlCl6
1.0
3.120 5.941 -0.023
-3.120 5.941 -0.023
0.000 2.407 11.739
Tl Cl Nb
2 12 2
direct
0.920 0.080 0.750
0.080 0.920 0.250
0.617 0.807 0.330
0.479 0.677 0.606
0.193 0.383 0.170
0.323 0.521 0.894
0.383 0.193 0.670
0.084 0.207 0.469
0.207 0.084 0.969
0.807 0.617 0.830
0.521 0.323 0.394
0.916 0.793 0.531
0.677 0.479 0.106
0.793 0.916 0.031
0.000 0.500 0.000
0.500 0.000 0.500
```



Below is an optimized crystal structure of Ag2SO4, with properties calculated at the meta-GGA r2SCAN level.

Space group   Fddd (70)
Calculated total energy   -163.3 eV for the cell shown
DFT formation energy   -0.9985 eV/atom

Cell and atoms, written as POSCAR:
```
Ag2SO4
1.0
5.033 0.000 2.314
2.516 5.517 1.157
-0.091 0.000 6.829
Ag O S
4 8 2
direct
0.425 0.150 0.750
0.175 0.650 0.250
0.825 0.350 0.750
0.575 0.850 0.250
0.120 0.593 0.613
0.880 0.407 0.387
0.825 0.907 0.887
0.287 0.593 0.887
0.175 0.093 0.113
0.713 0.407 0.113
0.733 0.093 0.387
0.267 0.907 0.613
0.125 0.750 0.750
0.875 0.250 0.250
```



Below is an optimized crystal structure of ErAl9Ni3, with properties calculated at the meta-GGA r2SCAN level.

Space group   R32 (155)
Calculated total energy   -275.4 eV for the cell shown
DFT formation energy   -0.5568 eV/atom

Cell and atoms, written as POSCAR:
```
ErAl9Ni3
1.0
-3.246 7.314 -5.934
-0.288 1.952 -9.765
-6.939 1.207 -7.045
Ni Al Er
6 18 2
direct
0.418 0.078 0.758
0.758 0.418 0.078
0.582 0.242 0.922
0.078 0.758 0.418
0.242 0.922 0.582
0.922 0.582 0.242
0.052 0.052 0.052
0.433 0.763 0.103
0.291 0.709 0.500
0.500 0.291 0.709
0.763 0.103 0.433
0.000 0.666 0.334
0.334 0.000 0.666
0.718 0.718 0.718
0.613 0.613 0.613
0.709 0.500 0.291
0.387 0.387 0.387
0.237 0.567 0.897
0.897 0.237 0.567
0.948 0.948 0.948
0.282 0.282 0.282
0.567 0.897 0.237
0.666 0.334 0.000
0.103 0.433 0.763
0.833 0.833 0.833
0.167 0.167 0.167
```



Below is an optimized crystal structure of BaAlF5, with properties calculated at the meta-GGA r2SCAN level.

Space group   P2_1 (4)
Distance to the lowest polymorph of the same formula   9 meV/atom
Calculated total energy   -308.1 eV for the cell shown
DFT formation energy   -4.0244 eV/atom

Cell and atoms, written as POSCAR:
```
BaAlF5
1.0
-5.238 -6.251 -5.232
2.545 -4.013 2.247
-5.017 -0.327 5.413
F Al Ba
20 4 4
direct
0.263 0.271 0.971
0.487 0.041 0.243
0.987 0.959 0.757
0.771 0.712 0.677
0.249 0.750 0.949
0.740 0.989 0.402
0.465 0.232 0.557
0.450 0.750 0.533
0.257 0.794 0.297
0.084 0.510 0.160
0.757 0.206 0.703
0.945 0.447 0.863
0.749 0.250 0.051
0.950 0.250 0.467
0.271 0.288 0.323
0.240 0.011 0.598
0.763 0.729 0.029
0.965 0.768 0.443
0.445 0.553 0.137
0.584 0.490 0.840
0.765 0.478 0.869
0.869 0.985 0.576
0.369 0.015 0.424
0.265 0.522 0.131
0.501 0.986 0.887
0.001 0.014 0.113
0.655 0.488 0.360
0.155 0.512 0.640
```



Below is an optimized crystal structure of Pm2RuRh, with properties calculated at the meta-GGA r2SCAN level.

Space group   Fm-3m (225)
Calculated total energy   -110.5 eV for the cell shown
DFT formation energy   -0.4564 eV/atom

Cell and atoms, written as POSCAR:
```
Pm2RuRh
1.0
3.350 2.827 2.248
-1.333 2.866 3.779
1.485 -1.098 4.567
Ru Pm Rh
1 2 1
direct
0.750 0.750 0.750
0.500 0.500 0.500
0.000 0.000 0.000
0.250 0.250 0.250
```



Which value of calculated total energy does entry 11 give?
-110.5 eV for the cell shown



Number 9 is which compound?
ErAl9Ni3



Please write out number 1 again, unchanged.
Below is an optimized crystal structure of Y5Tl3, with properties calculated at the meta-GGA r2SCAN level.

Space group   P6_3/mcm (193)
Calculated total energy   -529.8 eV for the cell shown
DFT formation energy   -0.4712 eV/atom

Cell and atoms, written as POSCAR:
```
Y5Tl3
1.0
-3.560 5.106 -2.470
6.579 5.697 2.294
0.045 -3.894 -8.114
Y Tl
10 6
direct
0.750 0.000 0.238
0.250 0.238 0.238
0.500 0.333 0.667
0.000 0.667 0.333
0.750 0.238 0.000
0.250 0.000 0.762
0.250 0.762 0.000
0.750 0.762 0.762
0.500 0.667 0.333
0.000 0.333 0.667
0.750 0.402 0.402
0.250 0.402 0.000
0.750 0.598 0.000
0.250 0.598 0.598
0.750 0.000 0.598
0.250 0.000 0.402
```